{"formula": "Ba2DySbO6", "functional": "PBE-GGA", "state": "relaxed", "lattice_angstrom": [[0.0000, 4.2618, 4.2618], [4.2618, 0.0000, 4.2618], [4.2618, 4.2618, 0.0000]], "species": ["Ba", "Ba", "Dy", "Sb", "O", "O", "O", "O", "O", "O"], "frac_coords": [[0.2500, 0.2500, 0.2500], [0.7500, 0.7500, 0.7500], [0.0000, 0.0000, 0.0000], [0.5000, 0.5000, 0.5000], [0.2631, 0.2631, 0.7369], [0.2631, 0.7369, 0.2631], [0.2631, 0.7369, 0.7369], [0.7369, 0.2631, 0.2631], [0.7369, 0.2631, 0.7369], [0.7369, 0.7369, 0.2631]], "ef_ev_per_atom": -3.093, "total_magnetization_mub_per_cell": 0.000}